[1]
Below is an optimized crystal structure of Li12MnFe3P4C4O28, with properties calculated at the PBE with a Hubbard U level.

The structure in POSCAR format:
```
Li12MnFe3P4C4O28
1.0
6.5136 0.0000 0.0000
0.0000 8.5360 0.0000
0.0000 0.8393 10.0054
Li O Fe C Mn P
12 28 3 4 1 4
Cartesian
1.4730 6.5163 3.7675
0.0000 8.2710 6.2070
5.0407 6.5163 3.7675
0.0000 7.8649 1.2074
1.7964 2.8670 6.2389
1.7935 2.4422 1.2312
4.7173 2.8670 6.2389
4.7202 2.4422 1.2312
3.2568 1.1127 3.8042
3.2568 1.5215 8.8021
5.0461 6.9284 8.7616
1.4676 6.9284 8.7616
3.2568 8.3693 5.2653
5.2953 5.9608 0.8608
0.0000 5.5518 7.9829
4.4731 3.4191 9.1305
0.0000 7.8383 3.2236
5.2978 6.3709 5.8834
3.2568 1.5169 6.7860
3.2568 1.0987 1.7804
3.2568 3.8250 2.0359
0.0000 1.8888 7.5529
4.4606 2.9881 4.1372
3.2568 4.2454 7.0354
0.0000 8.2755 8.2245
0.0000 1.4446 2.5475
1.2158 6.3709 5.8834
0.0000 3.6778 0.9302
3.2568 7.4853 2.4514
3.2568 7.9527 0.2602
3.2568 7.9047 7.4572
1.2183 5.9608 0.8608
3.2568 5.6994 9.1011
0.0000 1.4259 9.7422
0.0000 0.9832 4.7441
0.0000 5.1683 2.9585
3.2568 5.2793 4.0961
0.0000 4.0898 5.9234
2.0405 3.4191 9.1305
2.0530 2.9881 4.1372
3.2568 5.7629 1.0640
0.0000 3.6017 8.9497
3.2568 6.1878 6.0611
0.0000 0.5746 3.5194
3.2568 8.3694 1.4865
3.2568 8.7874 6.4919
0.0000 1.0110 8.5179
0.0000 3.2338 3.8923
3.2568 4.2397 8.5973
0.0000 5.1505 1.3974
0.0000 5.5491 6.4200
3.2568 3.8120 3.6021
```

Results
Raw total energy, eV/atom: -6.720
Symmetry: Pm (6)
Formation enthalpy at 0 K, meV/atom: -2356
Theoretical density, g/cm3: 2.8

***

[2]
Below is an optimized crystal structure of Ni3H6SO3, with properties calculated at the PBE with a Hubbard U level.

The structure in POSCAR format:
```
Ni3H6SO3
1.0
3.9823 4.3239 2.1552
-2.9768 -3.9906 6.4038
7.4900 -4.4006 1.3138
Ni O H S
3 3 6 1
Cartesian
0.2550 -0.2032 4.1130
0.4642 -5.8364 6.8976
2.2427 1.9402 5.2465
1.4917 0.3631 5.2137
4.8562 -2.7638 0.9843
6.5037 -5.2085 4.3569
5.8828 -4.2757 7.4693
7.6062 -1.0616 4.2883
8.9547 0.6100 2.9795
8.2645 -0.8569 4.5923
2.6814 -1.2344 7.2839
6.0238 -4.9893 7.6614
2.5988 -0.5929 8.4784
```

Results
Raw total energy, eV/atom: -3.773
Symmetry: P1 (1)
Formation enthalpy at 0 K, meV/atom: -197
Theoretical density, g/cm3: 1.1

***

[3]
Below is an optimized crystal structure of VAs2H4O9, with properties calculated at the PBE with a Hubbard U level.

The structure in POSCAR format:
```
VAs2H4O9
1.0
-0.0606 -7.2767 -5.8183
8.9065 -1.7529 2.0994
-2.4225 -4.9155 6.1728
H O V As
16 36 4 8
Cartesian
4.6128 -7.8347 1.6762
2.7597 -4.7738 -2.1326
-0.8198 -11.9331 0.6277
2.9630 -7.8912 -0.1880
2.4854 -10.4934 3.0713
7.1894 -5.6511 4.4261
0.4470 -2.7981 2.8803
1.5534 -6.6322 1.4331
-1.0232 -8.8157 -1.3168
3.7175 -5.5320 1.9867
8.3609 -7.9665 -2.4767
1.7727 -7.8454 4.9002
5.8290 -4.7775 -0.9310
6.2335 -10.6252 -1.0816
5.0779 -6.4056 7.3439
0.2278 -1.5849 -0.5868
5.4686 -7.0611 6.7117
3.5883 -6.0508 4.8002
0.9639 -7.8347 4.3278
7.3187 -5.1323 1.6126
-0.2389 -8.4505 1.5233
5.4212 -8.0128 4.0931
2.1787 -8.2564 -3.0282
-1.2486 -6.1104 0.1952
5.4383 -4.1221 -0.2988
2.0378 -5.7776 7.2046
6.2696 -5.3216 4.5910
6.6195 -7.1042 -0.2320
6.0853 -10.2530 2.5699
0.2861 -6.4155 -2.1691
-0.9029 -6.2103 3.0466
4.6374 -5.8615 1.8218
3.2491 -3.3199 4.1182
4.2103 -8.5915 1.1791
1.0366 -1.5956 -0.0144
3.0347 -5.6640 -2.4700
1.6537 -10.2914 0.6642
1.0152 -4.9866 4.6379
-0.2190 -9.3799 -1.1870
-0.0374 -3.6526 -2.8912
2.9034 -3.2199 1.2669
5.4858 -3.1704 2.3198
4.7611 -8.2069 -1.9753
6.6360 -9.8683 -0.5845
1.8402 -6.1101 2.2250
3.4099 -10.2694 3.3490
4.2268 -11.3557 0.8266
2.1589 -7.3270 -0.3178
0.9853 -4.4436 -0.3245
0.1602 -3.3202 2.0885
7.4365 -8.1905 -2.7544
-1.0949 -11.0429 0.9651
2.7649 -4.3024 5.3520
-0.7644 -5.1279 -1.0385
-1.9757 -7.5857 2.0479
3.9761 -1.8446 2.2655
1.8888 -6.9316 -2.0190
5.1612 -6.6274 5.0263
5.7458 -4.5557 1.3866
0.0510 -9.7753 0.5141
6.3379 -8.3165 -1.3759
0.7037 -6.2595 3.5700
4.5085 -10.1433 1.9704
1.2968 -3.1708 0.7434
```

Results
Raw total energy, eV/atom: -5.934
Symmetry: P4/ncc (130)
Formation enthalpy at 0 K, meV/atom: -1646
Theoretical density, g/cm3: 3.2

***

[4]
Below is an optimized crystal structure of Mn5NiP6O24, with properties calculated at the PBE with a Hubbard U level.

The structure in POSCAR format:
```
Mn5NiP6O24
1.0
-8.3856 1.7839 -0.4509
-4.8056 -3.4069 -6.2453
-5.8033 -6.0539 1.8377
O Mn P Ni
24 5 6 1
Cartesian
-9.1109 -3.8491 -5.9567
-9.2083 0.3835 -1.9672
-12.3937 -6.2687 -4.4259
-13.5521 -3.8077 -3.7855
-5.4454 -3.9083 -1.0053
-11.2346 -2.3977 -6.0673
-9.7675 -0.7380 -4.2244
-11.6721 -3.4730 -1.9285
-7.3429 -4.2704 -2.8838
-9.9093 -3.7818 1.1395
-6.3639 -4.6035 -5.2076
-10.6430 -5.7839 -2.3004
-9.7379 -8.0829 -2.9356
-10.8132 -4.1323 -4.2447
-11.4371 -1.2567 -0.9582
-9.2137 -6.9228 -0.6976
-8.2424 -3.4887 -0.6023
-7.7595 -5.2099 1.2069
-8.3568 -1.9174 -2.6378
-5.7032 -1.9415 -3.1051
-13.2625 -5.7700 -1.8173
-6.6304 -1.3359 -0.4372
-7.5365 -6.4788 -3.8757
-12.6112 -3.0927 0.4128
-0.0666 -0.0269 -0.0170
-12.2160 -4.9373 -3.1246
-6.7676 -2.7352 -1.7310
-16.2762 -6.5782 -4.1631
-9.5116 -3.8442 -2.4329
-10.2581 -7.2099 -1.7236
-12.3852 -2.4080 -0.9949
-8.7049 -0.4582 -3.1452
-6.5805 -5.2717 -3.8451
-8.3836 -3.8363 0.9362
-10.5922 -3.8146 -5.7824
-2.7137 -1.0968 -0.6941
```

Results
Raw total energy, eV/atom: -7.204
Symmetry: R3 (146)
Formation enthalpy at 0 K, meV/atom: -2330
Theoretical density, g/cm3: 3.4

***

Please write out number 4 again, unchanged.
Below is an optimized crystal structure of Mn5NiP6O24, with properties calculated at the PBE with a Hubbard U level.

The structure in POSCAR format:
```
Mn5NiP6O24
1.0
-8.3856 1.7839 -0.4509
-4.8056 -3.4069 -6.2453
-5.8033 -6.0539 1.8377
O Mn P Ni
24 5 6 1
Cartesian
-9.1109 -3.8491 -5.9567
-9.2083 0.3835 -1.9672
-12.3937 -6.2687 -4.4259
-13.5521 -3.8077 -3.7855
-5.4454 -3.9083 -1.0053
-11.2346 -2.3977 -6.0673
-9.7675 -0.7380 -4.2244
-11.6721 -3.4730 -1.9285
-7.3429 -4.2704 -2.8838
-9.9093 -3.7818 1.1395
-6.3639 -4.6035 -5.2076
-10.6430 -5.7839 -2.3004
-9.7379 -8.0829 -2.9356
-10.8132 -4.1323 -4.2447
-11.4371 -1.2567 -0.9582
-9.2137 -6.9228 -0.6976
-8.2424 -3.4887 -0.6023
-7.7595 -5.2099 1.2069
-8.3568 -1.9174 -2.6378
-5.7032 -1.9415 -3.1051
-13.2625 -5.7700 -1.8173
-6.6304 -1.3359 -0.4372
-7.5365 -6.4788 -3.8757
-12.6112 -3.0927 0.4128
-0.0666 -0.0269 -0.0170
-12.2160 -4.9373 -3.1246
-6.7676 -2.7352 -1.7310
-16.2762 -6.5782 -4.1631
-9.5116 -3.8442 -2.4329
-10.2581 -7.2099 -1.7236
-12.3852 -2.4080 -0.9949
-8.7049 -0.4582 -3.1452
-6.5805 -5.2717 -3.8451
-8.3836 -3.8363 0.9362
-10.5922 -3.8146 -5.7824
-2.7137 -1.0968 -0.6941
```

Results
Raw total energy, eV/atom: -7.204
Symmetry: R3 (146)
Formation enthalpy at 0 K, meV/atom: -2330
Theoretical density, g/cm3: 3.4

***

- Number 3 is which compound?
  VAs2H4O9

***

- Which formula does entry 4 have?
  Mn5NiP6O24